Entry from Materials Project: a geometry-optimized SnGeSe2 structure (PBE).

It has space group Pmc2_1 (No. 26), with a = 4.038 Å, b = 4.573 Å, c = 11.446 Å, α = 90.00°, β = 90.00° and γ = 90.00°. The inequivalent atoms are Sn at (0.000, 0.147, 0.000), Ge at (0.500, 0.373, 0.240), Se at (0.000, 0.260, 0.758) and Se at (0.500, 0.266, 0.460).

The calculation puts the calculated density at 5.49 g cm⁻³. The MP2020-corrected energy is -4.457 eV/atom. The calculation puts the calculated volume at 211 Å³/cell. As for the formation energy from the elements: -0.55 eV per atom.

Entry from Materials Project: a geometry-optimized SnGe4Te4Se structure (PBE).

It has space group R3m (No. 160, hexagonal axes), with a = 4.2228 Å, b = 4.2228 Å, c = 54.5052 Å, α = 90.00°, β = 90.00° and γ = 120.00°. The inequivalent atoms are Sn at (0.0000, 0.0000, 0.0000), Ge at (0.0000, 0.0000, 0.2049), Ge at (0.0000, 0.0000, 0.4056), Ge at (0.0000, 0.0000, 0.6044), Ge at (0.0000, 0.0000, 0.8051), Te at (0.0000, 0.0000, 0.1116), Te at (0.0000, 0.0000, 0.5112), Te at (0.0000, 0.0000, 0.7120), Te at (0.0000, 0.0000, 0.9109) and Se at (0.0000, 0.0000, 0.3065).

The calculation puts the calculated density at 5.91 g cm⁻³. The MP2020-corrected energy is -4.075 eV/atom. The calculation puts the calculated volume at 842 Å³/cell. As for the formation energy from the elements: -0.22 eV per atom.